Crystalline Sr2ErReO6 at its relaxed geometry, computed with PBE.

Total magnetic moment ... 2.0 μB per cell
Space group ... Fm-3m (225)

Unit cell a=5.880 b=5.880 c=5.880 alpha=60.00 beta=60.00 gamma=60.00
Sites, in units of the cell vectors:
O 0.237 0.763 0.237
O 0.763 0.237 0.237
O 0.237 0.763 0.763
O 0.763 0.237 0.763
Er 0.500 0.500 0.500
Sr 0.750 0.750 0.750
Re 0.000 0.000 0.000
O 0.237 0.237 0.763
O 0.763 0.763 0.237
Sr 0.250 0.250 0.250

Crystalline Er3Pt4 at its relaxed geometry, computed with PBE.

Space group ... R-3 (148)

Unit cell a=7.814 b=7.814 c=7.814 alpha=114.31 beta=114.31 gamma=114.31
Sites, in units of the cell vectors:
Er 0.974 0.719 0.596
Pt 0.448 0.775 0.939
Er 0.719 0.596 0.974
Pt 0.552 0.225 0.061
Er 0.026 0.281 0.404
Pt 0.061 0.552 0.225
Pt 0.225 0.061 0.552
Pt 0.939 0.448 0.775
Pt 0.775 0.939 0.448
Er 0.596 0.974 0.719
Er 0.404 0.026 0.281
Er 0.281 0.404 0.026
Pt 0.000 0.000 0.000
Pt 0.500 0.500 0.500

Crystalline Mg9Si5 at its relaxed geometry, computed with PBE.

Total magnetic moment ... 0.0 μB per cell
Space group ... P1 (1)

Unit cell a=7.134 b=7.148 c=12.496 alpha=93.67 beta=90.11 gamma=119.22
Sites, in units of the cell vectors:
Si 0.192 0.629 0.767
Mg 0.535 0.449 0.677
Mg 0.198 0.328 0.877
Mg 0.249 0.488 0.179
Si 0.871 0.508 0.518
Mg 0.944 0.247 0.659
Mg 0.570 0.415 0.024
Mg 0.823 0.801 0.860
Mg 0.540 0.094 0.516
Mg 0.067 0.659 0.010
Mg 0.815 0.155 0.020
Si 0.179 0.125 0.269
Si 0.786 0.386 0.844
Mg 0.891 0.229 0.354
Mg 0.465 0.021 0.182
Mg 0.153 0.916 0.659
Mg 0.289 0.591 0.525
Mg 0.790 0.811 0.183
Si 0.837 0.441 0.186
Si 0.520 0.809 0.349
Si 0.571 0.863 0.691
Mg 0.567 0.439 0.352
Si 0.485 0.741 0.016
Si 0.149 0.074 0.041
Mg 0.787 0.835 0.512
Mg 0.412 0.008 0.878
Si 0.206 0.175 0.497
Mg 0.107 0.760 0.356

Crystalline CeSe2 at its relaxed geometry, computed with PBE.

Total magnetic moment ... 0.0 μB per cell
Space group ... Fdd2 (43)

Unit cell a=7.806 b=7.806 c=13.992 alpha=93.79 beta=93.79 gamma=139.72
Sites, in units of the cell vectors:
Se 0.507 0.285 0.178
Se 0.256 0.099 0.397
Se 0.579 0.857 0.322
Ce 0.999 0.851 0.723
Se 0.349 0.006 0.897
Se 0.109 0.452 0.103
Ce 0.526 0.879 0.777
Se 0.096 0.598 0.616
Se 0.702 0.859 0.603
Se 0.982 0.480 0.384
Ce 0.101 0.749 0.223
Se 0.730 0.732 0.884
Se 0.107 0.329 0.822
Ce 0.529 0.029 0.500
Se 0.535 0.257 0.678
Se 0.848 0.846 0.116
Ce 0.129 0.276 0.277
Ce 0.279 0.279 0.000

Crystalline ZnSnP2O7 at its relaxed geometry, computed with PBE.

Total magnetic moment ... 0.0 μB per cell
Space group ... P-1 (2)

Unit cell a=7.000 b=7.049 c=7.156 alpha=67.09 beta=82.47 gamma=73.63
Sites, in units of the cell vectors:
O 0.665 0.090 0.914
Zn 0.206 0.947 0.591
Zn 0.794 0.053 0.409
P 0.177 0.796 0.214
P 0.630 0.674 0.659
O 0.702 0.439 0.642
O 0.236 0.313 0.198
Sn 0.282 0.274 0.896
O 0.032 0.772 0.091
O 0.968 0.228 0.909
P 0.370 0.326 0.341
O 0.335 0.910 0.086
O 0.298 0.561 0.358
O 0.590 0.307 0.271
O 0.923 0.102 0.626
O 0.077 0.898 0.374
O 0.345 0.170 0.560
O 0.764 0.687 0.802
P 0.823 0.204 0.786
Sn 0.718 0.726 0.104
O 0.655 0.830 0.440
O 0.410 0.693 0.729

Crystalline HfZrS6 at its relaxed geometry, computed with PBE.

Space group ... Pm (6)

Unit cell a=3.633 b=5.179 c=9.234 alpha=83.62 beta=90.00 gamma=90.00
Sites, in units of the cell vectors:
Hf 0.500 0.722 0.651
S 0.000 0.885 0.823
S 0.000 0.758 0.449
Zr 0.000 0.278 0.349
S 0.500 0.117 0.174
S 0.500 0.516 0.179
S 0.000 0.485 0.819
S 0.500 0.239 0.556

no.,calculated total energy (eV/atom),energy of formation from the pure elements (meV per atom)
1,-7.63,-3033.3
2,-6.68,-1254.7
3,-2.99,-2.7
4,-5.77,-1771.6
5,-6.55,-2370.6
6,-6.61,-1570.7